(1)
The following is a PBE+U calculation of crystalline Ca8Mn6Al2O23 at its relaxed geometry, from the Materials Project database.

Excess energy over the best structure of this formula in the dataset in eV per atom: 0.053

a = 7.5299 Å, b = 7.5299 Å, c = 7.7275 Å
α = 90.00°, β = 90.00°, γ = 90.00°
Space group P4/mmm (No. 123)
Unique sites:
Ca1 0.2412 0.2412 0.0000 x4
Ca2 0.2446 0.2446 0.5000 x4
Mn1 0.0000 0.0000 0.2506 x2
Mn2 0.0000 0.5000 0.2452 x4
Al1 0.5000 0.5000 0.2742 x2
O1 0.0000 0.0000 0.0000 x1
O2 0.0000 0.0000 0.5000 x1
O3 0.0000 0.2500 0.2513 x8
O4 0.0000 0.5000 0.0000 x2
O5 0.0000 0.5000 0.5000 x2
O6 0.2581 0.5000 0.2291 x8
O7 0.5000 0.5000 0.5000 x1



(2)
The following is a PBE+U calculation of crystalline Ca16Mn14Al2O45 at its relaxed geometry, from the Materials Project database.

a = 10.7470 Å, b = 10.8881 Å, c = 15.1499 Å
α = 90.04°, β = 90.02°, γ = 90.80°
Space group P1 (No. 1)
Unique sites:
Ca1 0.0000 0.0000 0.0000 x1
Ca2 0.0002 0.0419 0.2479 x1
Ca3 0.0005 0.5041 0.5014 x1
Ca4 0.0158 0.0005 0.5008 x1
Ca5 0.2293 0.2942 0.2650 x1
Ca6 0.2358 0.2586 0.9920 x1
Ca7 0.2394 0.7497 0.9982 x1
Ca8 0.2407 0.2558 0.5035 x1
Ca9 0.2414 0.7516 0.5020 x1
Ca10 0.2467 0.2975 0.7492 x1
Ca11 0.2470 0.7978 0.2506 x1
Ca12 0.2516 0.7992 0.7506 x1
Ca13 0.4860 0.0471 0.7484 x1
Ca14 0.4869 0.9988 0.5080 x1
Ca15 0.4887 0.0351 0.2469 x1
Ca16 0.4907 0.5524 0.7484 x1
Ca17 0.4947 0.5619 0.2577 x1
Ca18 0.4974 0.5047 0.5031 x1
Ca19 0.4995 0.5128 0.9918 x1
Ca20 0.4990 0.9918 0.9997 x1
Ca21 0.7381 0.7531 0.9954 x1
Ca22 0.7386 0.7464 0.5014 x1
Ca23 0.7477 0.2920 0.2549 x1
Ca24 0.7499 0.2804 0.5086 x1
Ca25 0.7502 0.2947 0.7516 x1
Ca26 0.7498 0.7960 0.7504 x1
Ca27 0.7544 0.7965 0.2423 x1
Ca28 0.7567 0.2637 0.0001 x1
Ca29 0.9898 0.5483 0.7497 x1
Ca30 0.9930 0.5547 0.2554 x1
Ca31 0.9953 0.0473 0.7490 x1
Ca32 0.9981 0.5080 0.9911 x1
Mn1 0.2341 0.5282 0.1246 x1
Mn2 0.2413 0.0125 0.1203 x1
Mn3 0.2447 0.0266 0.6266 x1
Mn4 0.2454 0.5265 0.6257 x1
Mn5 0.2448 0.5289 0.8731 x1
Mn6 0.2448 0.5297 0.3745 x1
Mn7 0.2469 0.0258 0.3750 x1
Mn8 0.2494 0.0286 0.8762 x1
Mn9 0.4872 0.2859 0.3732 x1
Mn10 0.4924 0.7753 0.1249 x1
Mn11 0.4953 0.7794 0.3772 x1
Mn12 0.4967 0.2749 0.6262 x1
Mn13 0.4967 0.7758 0.6259 x1
Mn14 0.4972 0.7781 0.8750 x1
Mn15 0.5231 0.2754 0.1176 x1
Mn16 0.7414 0.0274 0.6354 x1
Mn17 0.7449 0.5254 0.3729 x1
Mn18 0.7447 0.5266 0.6279 x1
Mn19 0.7455 0.0273 0.1204 x1
Mn20 0.7456 0.5224 0.8771 x1
Mn21 0.7556 0.0161 0.3647 x1
Mn22 0.9891 0.7701 0.1217 x1
Mn23 0.9919 0.2764 0.3761 x1
Mn24 0.9925 0.2751 0.8763 x1
Mn25 0.9948 0.7764 0.6254 x1
Mn26 0.9958 0.2764 0.6263 x1
Mn27 0.9973 0.7743 0.3765 x1
Mn28 0.9981 0.7759 0.8739 x1
Al1 0.0118 0.2547 0.1218 x1
Al2 0.4812 0.2973 0.8704 x1
Al3 0.7251 0.5440 0.1245 x1
Al4 0.7648 0.0111 0.8759 x1
O1 0.0139 0.2730 0.2463 x1
O2 0.0311 0.2634 0.7512 x1
O3 0.0316 0.7691 0.2509 x1
O4 0.0372 0.7656 0.7498 x1
O5 0.0846 0.6262 0.1053 x1
O6 0.0954 0.6288 0.3938 x1
O7 0.0970 0.1316 0.3882 x1
O8 0.0990 0.6315 0.6044 x1
O9 0.0996 0.1319 0.6067 x1
O10 0.1007 0.1336 0.8970 x1
O11 0.1018 0.6333 0.8957 x1
O12 0.1095 0.1259 0.1058 x1
O13 0.1337 0.8687 0.1030 x1
O14 0.1398 0.3835 0.8929 x1
O15 0.1413 0.3774 0.3940 x1
O16 0.1410 0.8815 0.6043 x1
O17 0.1422 0.3805 0.6065 x1
O18 0.1437 0.8831 0.8987 x1
O19 0.1449 0.8791 0.3955 x1
O20 0.1490 0.3703 0.1124 x1
O21 0.2033 0.5159 0.7499 x1
O22 0.2072 0.5102 0.2496 x1
O23 0.2083 0.0173 0.7515 x1
O24 0.2169 0.0247 0.2474 x1
O25 0.2774 0.0393 0.5005 x1
O26 0.2841 0.5362 0.5001 x1
O27 0.2849 0.5314 0.0020 x1
O28 0.2914 0.0437 0.0016 x1
O29 0.3491 0.6736 0.8545 x1
O30 0.3488 0.6756 0.3538 x1
O31 0.3504 0.6644 0.1509 x1
O32 0.3501 0.6713 0.6471 x1
O33 0.3509 0.1702 0.6462 x1
O34 0.3571 0.1658 0.3537 x1
O35 0.3634 0.1701 0.8578 x1
O36 0.3847 0.4294 0.3519 x1
O37 0.3865 0.4283 0.8540 x1
O38 0.3912 0.9215 0.1421 x1
O39 0.3913 0.9222 0.6430 x1
O40 0.3917 0.4202 0.6456 x1
O41 0.3933 0.9232 0.8559 x1
O42 0.3939 0.9241 0.3585 x1
O43 0.4530 0.7812 0.0008 x1
O44 0.4567 0.2893 0.0022 x1
O45 0.4569 0.7824 0.5011 x1
O46 0.4584 0.2817 0.4989 x1
O47 0.5142 0.2603 0.2418 x1
O48 0.5344 0.2629 0.7536 x1
O49 0.5360 0.7697 0.7502 x1
O50 0.5377 0.7766 0.2520 x1
O51 0.5877 0.6313 0.1074 x1
O52 0.5941 0.1185 0.1001 x1
O53 0.5989 0.6294 0.3934 x1
O54 0.6008 0.6314 0.6055 x1
O55 0.6037 0.6325 0.8942 x1
O56 0.6062 0.1332 0.5935 x1
O57 0.6351 0.3726 0.8965 x1
O58 0.6374 0.3842 0.6077 x1
O59 0.6376 0.8892 0.8993 x1
O60 0.6392 0.9012 0.4060 x1
O61 0.6420 0.3706 0.3899 x1
O62 0.6420 0.8835 0.6036 x1
O63 0.6448 0.8764 0.1036 x1
O64 0.6538 0.3911 0.1071 x1
O65 0.7002 0.0257 0.2471 x1
O66 0.7003 0.0288 0.7659 x1
O67 0.7050 0.5135 0.7518 x1
O68 0.7134 0.5091 0.2470 x1
O69 0.7764 0.0432 0.9954 x1
O70 0.7823 0.5273 0.5000 x1
O71 0.7826 0.5330 0.0039 x1
O72 0.8319 0.1706 0.3737 x1
O73 0.8447 0.6740 0.3551 x1
O74 0.8474 0.1727 0.6373 x1
O75 0.8472 0.6581 0.1463 x1
O76 0.8477 0.1696 0.8604 x1
O77 0.8477 0.6722 0.6458 x1
O78 0.8505 0.6686 0.8535 x1
O79 0.8508 0.1784 0.1414 x1
O80 0.8877 0.9247 0.1445 x1
O81 0.8893 0.4209 0.3540 x1
O82 0.8898 0.4195 0.8567 x1
O83 0.8903 0.4206 0.6450 x1
O84 0.8904 0.9249 0.6418 x1
O85 0.8968 0.9161 0.8537 x1
O86 0.9004 0.9218 0.3602 x1
O87 0.9505 0.7849 0.9981 x1
O88 0.9540 0.7874 0.5011 x1
O89 0.9613 0.2877 0.5003 x1
O90 0.9646 0.2931 0.0069 x1



(3)
The following is a PBE+U calculation of crystalline Ca4Mn5AlSi6O28 at its relaxed geometry, from the Materials Project database.

a = 6.0303 Å, b = 8.7165 Å, c = 10.3751 Å
α = 72.63°, β = 88.35°, γ = 89.48°
Space group P-1 (No. 2)
Unique sites:
Ca1 0.2470 0.2629 0.3177 x2
Ca2 0.2533 0.1652 0.6884 x2
Mn1 0.0000 0.0000 0.0000 x1
Mn2 0.0000 0.5000 0.5000 x1
Mn3 0.5000 0.0000 0.0000 x1
Mn4 0.5000 0.5000 0.0000 x1
Mn5 0.5000 0.5000 0.5000 x1
Al1 0.0000 0.5000 0.0000 x1
Si1 0.2383 0.7822 0.8137 x2
Si2 0.2474 0.6951 0.1915 x2
Si3 0.2506 0.8344 0.5038 x2
O1 0.0199 0.7262 0.5046 x2
O2 0.0233 0.6675 0.8450 x2
O3 0.0275 0.8113 0.1584 x2
O4 0.2250 0.9247 0.8895 x2
O5 0.2259 0.5562 0.3439 x2
O6 0.2431 0.4423 0.6117 x2
O7 0.2439 0.8830 0.6508 x2
O8 0.2456 0.0924 0.0563 x2
O9 0.2485 0.9983 0.3837 x2
O10 0.2496 0.5842 0.0850 x2
O11 0.2583 0.4084 0.9370 x2
O12 0.4671 0.8080 0.1686 x2
O13 0.4727 0.6842 0.8439 x2
O14 0.4821 0.7287 0.5056 x2



(4)
The following is a PBE+U calculation of crystalline Ca6Mn3AlSi4O24 at its relaxed geometry, from the Materials Project database.

a = 17.2222 Å, b = 12.2793 Å, c = 12.1356 Å
α = 90.00°, β = 134.58°, γ = 90.00°
Space group C2/c (No. 15)
Unique sites:
Ca1 0.0000 0.1306 0.2500 x4
Ca2 0.0000 0.3682 0.7500 x4
Ca3 0.1195 0.2516 0.1195 x8
Ca4 0.2481 0.5000 0.1221 x8
Mn1 0.0000 0.5000 0.0000 x4
Mn2 0.2500 0.2500 0.0000 x4
Mn3 0.2500 0.2500 0.5000 x4
Al1 0.0000 0.0000 0.0000 x4
Si1 0.0000 0.1159 0.7500 x4
Si2 0.0000 0.3804 0.2500 x4
Si3 0.1292 0.2500 0.6283 x8
O1 0.0386 0.0333 0.6890 x8
O2 0.0416 0.4647 0.3888 x8
O3 0.0477 0.1532 0.5017 x8
O4 0.0478 0.3482 0.5937 x8
O5 0.0970 0.2000 0.8925 x8
O6 0.0977 0.2979 0.3024 x8
O7 0.1338 0.4418 0.1467 x8
O8 0.1359 0.0602 0.1258 x8
O9 0.1907 0.3830 0.9286 x8
O10 0.1922 0.1163 0.4559 x8
O11 0.2142 0.2091 0.8111 x8
O12 0.2153 0.2918 0.6176 x8



(5)
The following is a PBE+U calculation of crystalline SrCa7Mn6Al2O22 at its relaxed geometry, from the Materials Project database.

Excess energy over the best structure of this formula in the dataset in eV per atom: 0.092

a = 7.5930 Å, b = 10.8327 Å, c = 10.8365 Å
α = 90.00°, β = 90.00°, γ = 90.00°
Space group Amm2 (No. 38)
Unique sites:
Sr1 0.0000 0.0000 0.0000 x2
Ca1 0.0000 0.0000 0.4741 x2
Ca2 0.0000 0.2333 0.2410 x4
Ca3 0.5000 0.0000 0.0073 x2
Ca4 0.5000 0.0000 0.4736 x2
Ca5 0.5000 0.2335 0.2408 x4
Mn1 0.2507 0.0000 0.2412 x4
Mn2 0.2509 0.2489 0.4909 x8
Al1 0.2525 0.0000 0.7398 x4
O1 0.0000 0.0000 0.2436 x2
O2 0.0000 0.2476 0.4903 x4
O3 0.2502 0.1186 0.6210 x8
O4 0.2506 0.1247 0.3658 x8
O5 0.2530 0.1196 0.8584 x8
O6 0.2534 0.1266 0.1174 x8
O7 0.5000 0.0000 0.2413 x2
O8 0.5000 0.2491 0.4904 x4



| no. | ρ (Mg/m³) | formation enthalpy at 0 K (eV per atom) | M_tot (μB/f.u.) |
| --- | --- | --- | --- |
| 1 | 4.1 | -2.625 | 18.5 |
| 2 | 4.1 | -2.593 | 46.0 |
| 3 | 3.4 | -2.728 | 14.0 |
| 4 | 3.4 | -2.690 | 7.9 |
| 5 | 4.1 | -2.600 | 20.0 |